No. 1
Here is a relaxed Li2FeO3 crystal from the Materials Project database. Energies are from meta-GGA r2SCAN.

abc: 5.154 8.320 5.150
angles: 90.00 113.34 90.00
Fractional positions:
Li: 0.250 0.413 0.000
Li: 0.750 0.750 0.500
Li: 0.250 0.750 0.000
Li: 0.750 0.587 0.000
Li: 0.250 0.087 0.000
Li: 0.250 0.250 0.500
Li: 0.750 0.913 0.000
Li: 0.750 0.250 0.000
O: 0.487 0.429 0.731
O: 0.013 0.071 0.269
O: 0.462 0.750 0.730
O: 0.513 0.929 0.269
O: 0.987 0.571 0.731
O: 0.538 0.250 0.270
O: 0.038 0.750 0.270
O: 0.987 0.929 0.731
O: 0.513 0.571 0.269
O: 0.487 0.071 0.731
O: 0.013 0.429 0.269
O: 0.962 0.250 0.730
Fe: 0.750 0.421 0.500
Fe: 0.250 0.921 0.500
Fe: 0.250 0.579 0.500
Fe: 0.750 0.079 0.500

=====

No. 2
Here is a relaxed NaZrCuSe3 crystal from the Materials Project database. Energies are from meta-GGA r2SCAN.

Computed properties:
Symmetry ... Pnma
Crystal system ... orthorhombic

abc: 3.849 10.328 13.561
angles: 90.00 90.00 90.00
Fractional positions:
Na: 0.750 0.544 0.272
Na: 0.250 0.044 0.228
Na: 0.750 0.956 0.772
Na: 0.250 0.456 0.728
Se: 0.250 0.382 0.396
Se: 0.250 0.752 0.362
Se: 0.250 0.564 0.104
Se: 0.250 0.118 0.896
Se: 0.750 0.064 0.396
Se: 0.750 0.248 0.638
Se: 0.250 0.936 0.604
Se: 0.750 0.252 0.138
Se: 0.750 0.436 0.896
Se: 0.250 0.748 0.862
Se: 0.750 0.882 0.104
Se: 0.750 0.618 0.604
Cu: 0.250 0.591 0.492
Cu: 0.250 0.909 0.992
Cu: 0.750 0.091 0.008
Cu: 0.750 0.409 0.508
Zr: 0.250 0.178 0.510
Zr: 0.250 0.322 0.010
Zr: 0.750 0.678 0.990
Zr: 0.750 0.822 0.490

=====

Number 1: uncorrected energy -8.096 eV per atom, energy relative to the elements -1.9115 eV per atom. Number 2: uncorrected energy -14.604 eV per atom, energy relative to the elements -1.2549 eV per atom.